(1)
36
Lattice="11.9605 0.0000 0.0000 0.0000 3.5965 0.0000 0.0000 0.0000 16.1330" Properties=species:S:1:pos:R:3 comment="Ca4PbN4 PBE relaxed" energy_mp2020_ev_per_cell=-204.71 spacegroup="Pnma (62)" de_polymorph_mev_per_atom=10 formation_energy_ev_per_atom=-0.678 crystal_system=orthorhombic pbc="T T T"
Ca 1.5553 0.8991 3.3247
Ca 7.1521 2.6974 9.2143
Ca 7.5355 0.8991 4.7418
Ca 1.1719 2.6974 14.9852
Ca 1.3668 0.8991 12.1075
Ca 4.6134 2.6974 4.0410
Ca 1.6664 2.6974 5.9570
Ca 10.5936 2.6974 4.0255
Ca 7.6466 2.6974 2.1095
Ca 4.8083 0.8991 6.9187
Ca 4.4249 2.6974 11.3912
Ca 10.4052 2.6974 12.8083
Ca 4.3139 0.8991 14.0235
Ca 10.7886 0.8991 1.1478
Ca 7.3471 0.8991 12.0920
Ca 10.2941 0.8991 10.1760
N 6.0513 0.8991 2.9673
N 6.6193 2.6974 7.0396
N 5.3411 0.8991 9.0934
N 5.9092 2.6974 13.1657
N 11.3214 0.8991 15.1061
N 8.7733 2.6974 11.0389
N 2.7931 2.6974 13.1606
N 3.1871 0.8991 5.0941
N 9.1674 0.8991 2.9724
N 0.2217 2.6974 2.2319
N 5.7585 0.8991 10.2984
N 0.6391 2.6974 1.0269
N 0.0711 0.8991 5.0992
N 6.2019 2.6974 5.8346
N 11.7388 0.8991 13.9011
N 11.8894 2.6974 11.0338
Pb 1.1524 2.6974 9.1751
Pb 4.8279 0.8991 1.1086
Pb 7.1326 2.6974 15.0244
Pb 10.8081 0.8991 6.9579

(2)
36
Lattice="-3.9813 -12.0916 5.3973 1.7382 -2.4439 -4.1928 6.5657 -1.0005 2.6017" Properties=species:S:1:pos:R:3 comment="LiTiP4O12 PBE relaxed" energy_mp2020_ev_per_cell=-279.15 spacegroup="P2_1 (4)" de_polymorph_mev_per_atom=48 formation_energy_ev_per_atom=-2.708 crystal_system=monoclinic pbc="T T T"
O 3.3174 -13.6139 2.4921
O -2.6370 -9.3806 4.0117
O 0.3846 -1.9183 0.0262
O 2.3985 -5.6586 2.0944
O 1.4430 -8.5463 3.2690
O 6.3660 -4.4026 -1.4251
O 0.1111 -4.6372 2.5260
O -0.0612 -10.8031 4.7501
O 2.8684 -8.6552 0.0178
O -0.8939 -7.6424 3.6730
O 2.3488 -10.5718 1.4733
O 3.4746 -12.7426 5.9417
O 2.6802 -2.8188 1.3752
O 5.0204 -10.3301 2.3124
O 3.8375 -6.3920 -0.2034
O 4.0521 -3.4285 -1.0525
O 6.8685 -6.4319 -0.0821
O -0.3566 -6.4518 -0.5025
O 4.9705 -4.2310 1.6279
O 0.9920 -12.7081 2.9753
O -0.3297 -10.3386 1.7469
O -0.4423 -12.6404 6.3593
O 2.6855 -10.8103 4.4258
O 1.6155 -4.7912 -0.5904
P 1.7860 -13.5579 2.0210
P 4.9386 -4.0646 -2.0858
P 0.8104 -5.8986 -1.2384
P -0.5745 -10.3140 0.2524
P 0.6155 -7.7312 4.2225
P 5.5230 -3.3210 2.7052
P 1.5227 -5.0571 3.1595
P 2.9450 -11.3596 5.8133
Ti 1.1571 -10.6323 3.1064
Ti 3.2767 -4.5659 0.5489
Li 1.4513 -1.3057 -1.4076
Li 4.7614 -8.4897 2.6514

Number 1 is which compound?
Ca4PbN4